# 1
This record from Materials Project describes a geometry-optimized PrAl22O34 structure. The functional is PBE.

Output
**M_tot**: 1.00 μB per formula unit
**Relative energy among the computed polymorphs**: 1 meV/atom

a b c (Å): 9.8143 11.3010 11.8084
angles (deg): 76.16 81.96 90.00
Space group P-1 (No. 2)
One atom of each set of equivalent atoms:
Pr 0.0000 0.0000 0.0000 (multiplicity 1)
Pr 0.5000 0.5000 0.0000 (multiplicity 1)
Al 0.0000 0.0000 0.5000 (multiplicity 1)
Al 0.0000 0.5000 0.5000 (multiplicity 1)
Al 0.0467 0.3203 0.7158 (multiplicity 2)
Al 0.0479 0.5717 0.7158 (multiplicity 2)
Al 0.0501 0.0747 0.7056 (multiplicity 2)
Al 0.0497 0.8201 0.7166 (multiplicity 2)
Al 0.1742 0.2619 0.4486 (multiplicity 2)
Al 0.1758 0.7622 0.4503 (multiplicity 2)
Al 0.2032 0.0530 0.2840 (multiplicity 2)
Al 0.2041 0.5535 0.2833 (multiplicity 2)
Al 0.2224 0.3363 0.1487 (multiplicity 2)
Al 0.2275 0.8363 0.1489 (multiplicity 2)
Al 0.2722 0.4107 0.8510 (multiplicity 2)
Al 0.2779 0.9107 0.8514 (multiplicity 2)
Al 0.2957 0.1952 0.7169 (multiplicity 2)
Al 0.2970 0.6950 0.7158 (multiplicity 2)
Al 0.3237 0.4875 0.5508 (multiplicity 2)
Al 0.3261 0.9861 0.5503 (multiplicity 2)
Al 0.4500 0.4274 0.2948 (multiplicity 2)
Al 0.4507 0.1783 0.2842 (multiplicity 2)
Al 0.4519 0.9298 0.2836 (multiplicity 2)
Al 0.4529 0.6783 0.2834 (multiplicity 2)
Al 0.4992 0.2489 0.5022 (multiplicity 2)
O 0.0451 0.0684 0.2125 (multiplicity 2)
O 0.0450 0.8271 0.2062 (multiplicity 2)
O 0.0462 0.3224 0.2078 (multiplicity 2)
O 0.0482 0.5711 0.2159 (multiplicity 2)
O 0.0939 0.1416 0.3987 (multiplicity 2)
O 0.0944 0.6442 0.3994 (multiplicity 2)
O 0.0937 0.9068 0.4005 (multiplicity 2)
O 0.0967 0.4073 0.3989 (multiplicity 2)
O 0.1396 0.4753 0.5989 (multiplicity 2)
O 0.1407 0.9758 0.5994 (multiplicity 2)
O 0.1482 0.2219 0.6105 (multiplicity 2)
O 0.1484 0.7225 0.6113 (multiplicity 2)
O 0.1952 0.0523 0.7941 (multiplicity 2)
O 0.1993 0.3004 0.7915 (multiplicity 2)
O 0.2017 0.5521 0.7887 (multiplicity 2)
O 0.2037 0.8018 0.7893 (multiplicity 2)
O 0.2184 0.8910 0.0001 (multiplicity 2)
O 0.2816 0.3909 0.9999 (multiplicity 2)
O 0.2967 0.1965 0.2110 (multiplicity 2)
O 0.2983 0.9467 0.2109 (multiplicity 2)
O 0.3003 0.6961 0.2081 (multiplicity 2)
O 0.3048 0.4492 0.2061 (multiplicity 2)
O 0.3515 0.5279 0.3890 (multiplicity 2)
O 0.3520 0.0272 0.3892 (multiplicity 2)
O 0.3595 0.2756 0.4011 (multiplicity 2)
O 0.3601 0.7745 0.4006 (multiplicity 2)
O 0.4029 0.1066 0.6013 (multiplicity 2)
O 0.4047 0.3436 0.6012 (multiplicity 2)
O 0.4067 0.6073 0.5992 (multiplicity 2)
O 0.4071 0.8413 0.6008 (multiplicity 2)
O 0.4517 0.1789 0.7843 (multiplicity 2)
O 0.4540 0.9262 0.7921 (multiplicity 2)
O 0.4548 0.4302 0.7938 (multiplicity 2)
O 0.4550 0.6747 0.7872 (multiplicity 2)

***

# 2
This record from Materials Project describes a geometry-optimized PrAl22O34 structure. The functional is PBE.

Output
**M_tot**: 1.00 μB per formula unit
**Relative energy among the computed polymorphs**: 0 meV/atom

a b c (Å): 5.6508 9.7840 11.8103
angles (deg): 105.78 90.07 90.04
Space group P1 (No. 1)
One atom of each set of equivalent atoms:
Pr 0.0000 0.0000 0.0000 (multiplicity 1)
Al 0.1852 0.5372 0.3011 (multiplicity 1)
Al 0.1896 0.8428 0.7242 (multiplicity 1)
Al 0.1917 0.3493 0.7384 (multiplicity 1)
Al 0.1928 0.0402 0.3113 (multiplicity 1)
Al 0.4360 0.2398 0.1658 (multiplicity 1)
Al 0.4379 0.0444 0.5700 (multiplicity 1)
Al 0.4382 0.1419 0.8754 (multiplicity 1)
Al 0.4385 0.3434 0.4699 (multiplicity 1)
Al 0.4381 0.7894 0.3040 (multiplicity 1)
Al 0.4397 0.5967 0.7379 (multiplicity 1)
Al 0.4397 0.6900 0.5166 (multiplicity 1)
Al 0.6858 0.0388 0.3072 (multiplicity 1)
Al 0.6884 0.3503 0.7385 (multiplicity 1)
Al 0.6880 0.8456 0.7288 (multiplicity 1)
Al 0.6891 0.5366 0.2997 (multiplicity 1)
Al 0.9374 0.0964 0.7298 (multiplicity 1)
Al 0.9369 0.2912 0.3036 (multiplicity 1)
Al 0.9374 0.5417 0.5671 (multiplicity 1)
Al 0.9380 0.1956 0.5212 (multiplicity 1)
Al 0.9382 0.7471 0.1682 (multiplicity 1)
Al 0.9376 0.8424 0.4657 (multiplicity 1)
Al 0.9402 0.6460 0.8741 (multiplicity 1)
O 0.1733 0.1471 0.6207 (multiplicity 1)
O 0.1728 0.2383 0.4212 (multiplicity 1)
O 0.1818 0.0338 0.8099 (multiplicity 1)
O 0.1879 0.3470 0.2307 (multiplicity 1)
O 0.1891 0.5402 0.8127 (multiplicity 1)
O 0.1889 0.8512 0.2326 (multiplicity 1)
O 0.2007 0.6483 0.6181 (multiplicity 1)
O 0.2027 0.7385 0.4197 (multiplicity 1)
O 0.3434 0.1625 0.0199 (multiplicity 1)
O 0.4375 0.0961 0.2325 (multiplicity 1)
O 0.4369 0.5997 0.2348 (multiplicity 1)
O 0.4380 0.7875 0.8009 (multiplicity 1)
O 0.4390 0.3970 0.6332 (multiplicity 1)
O 0.4392 0.5023 0.4202 (multiplicity 1)
O 0.4391 0.8839 0.6193 (multiplicity 1)
O 0.4390 0.9912 0.4112 (multiplicity 1)
O 0.4409 0.2879 0.8128 (multiplicity 1)
O 0.6733 0.7383 0.4193 (multiplicity 1)
O 0.6758 0.6485 0.6194 (multiplicity 1)
O 0.6883 0.3455 0.2250 (multiplicity 1)
O 0.6875 0.8498 0.2325 (multiplicity 1)
O 0.6897 0.5409 0.8137 (multiplicity 1)
O 0.6997 0.0372 0.8181 (multiplicity 1)
O 0.7033 0.1466 0.6209 (multiplicity 1)
O 0.7047 0.2384 0.4192 (multiplicity 1)
O 0.9359 0.4893 0.4060 (multiplicity 1)
O 0.9363 0.8967 0.6283 (multiplicity 1)
O 0.9373 0.3839 0.6199 (multiplicity 1)
O 0.9383 0.0062 0.4206 (multiplicity 1)
O 0.9376 0.5958 0.2245 (multiplicity 1)
O 0.9398 0.2854 0.8041 (multiplicity 1)
O 0.9408 0.7970 0.8110 (multiplicity 1)
O 0.9419 0.0968 0.2312 (multiplicity 1)
O 0.9430 0.7466 0.0203 (multiplicity 1)

***

# 3
This record from Materials Project describes a geometry-optimized PrAl22O34 structure. The functional is PBE.

Output
**M_tot**: 0.98 μB per formula unit
**Relative energy among the computed polymorphs**: 9 meV/atom

a b c (Å): 9.7833 5.6551 11.8735
angles (deg): 90.00 105.92 90.00
Space group Pm (No. 6)
One atom of each set of equivalent atoms:
Pr 0.0000 0.0000 0.0000 (multiplicity 1)
Al 0.1545 0.2505 0.2710 (multiplicity 2)
Al 0.1571 0.0000 0.5318 (multiplicity 1)
Al 0.2110 0.5000 0.6949 (multiplicity 1)
Al 0.2555 0.0000 0.8309 (multiplicity 1)
Al 0.3083 0.5000 0.4810 (multiplicity 1)
Al 0.3556 0.0000 0.1258 (multiplicity 1)
Al 0.4025 0.5000 0.2625 (multiplicity 1)
Al 0.4572 0.0000 0.4304 (multiplicity 1)
Al 0.4623 0.2473 0.6953 (multiplicity 2)
Al 0.6507 0.2512 0.2646 (multiplicity 2)
Al 0.6573 0.5000 0.5299 (multiplicity 1)
Al 0.7085 0.0000 0.6920 (multiplicity 1)
Al 0.7574 0.5000 0.8295 (multiplicity 1)
Al 0.8064 0.0000 0.4792 (multiplicity 1)
Al 0.8555 0.5000 0.1266 (multiplicity 1)
Al 0.9036 0.0000 0.2704 (multiplicity 1)
Al 0.9566 0.5000 0.4307 (multiplicity 1)
Al 0.9619 0.2533 0.6908 (multiplicity 2)
O 0.0100 0.5000 0.5891 (multiplicity 1)
O 0.1026 0.0000 0.3692 (multiplicity 1)
O 0.1144 0.5000 0.3781 (multiplicity 1)
O 0.1514 0.2501 0.7669 (multiplicity 2)
O 0.2027 0.0000 0.1870 (multiplicity 1)
O 0.2114 0.5000 0.1976 (multiplicity 1)
O 0.2594 0.0000 0.9790 (multiplicity 1)
O 0.2607 0.2647 0.5776 (multiplicity 2)
O 0.3502 0.2623 0.3794 (multiplicity 2)
O 0.4010 0.5000 0.7615 (multiplicity 1)
O 0.4035 0.0000 0.7709 (multiplicity 1)
O 0.4599 0.2487 0.1891 (multiplicity 2)
O 0.4970 0.5000 0.5775 (multiplicity 1)
O 0.5100 0.0000 0.5905 (multiplicity 1)
O 0.6034 0.5000 0.3683 (multiplicity 1)
O 0.6173 0.0000 0.3808 (multiplicity 1)
O 0.6533 0.2475 0.7687 (multiplicity 2)
O 0.7124 0.5000 0.1913 (multiplicity 1)
O 0.7141 0.0000 0.1977 (multiplicity 1)
O 0.7626 0.2334 0.5793 (multiplicity 2)
O 0.8336 0.5000 0.9783 (multiplicity 1)
O 0.8547 0.2342 0.3801 (multiplicity 2)
O 0.9035 0.5000 0.7657 (multiplicity 1)
O 0.9036 0.0000 0.7684 (multiplicity 1)
O 0.9621 0.2385 0.1833 (multiplicity 2)
O 0.9952 0.0000 0.5795 (multiplicity 1)

***

# 4
This record from Materials Project describes a geometry-optimized PrAlO3 structure. The functional is PBE.

a b c (Å): 5.3969 5.3969 13.0755
angles (deg): 90.00 90.00 120.00
Space group R-3c (No. 167, hexagonal axes)
One atom of each set of equivalent atoms:
Pr 0.0000 0.0000 0.2500 (multiplicity 6)
Al 0.0000 0.0000 0.0000 (multiplicity 6)
O 0.0000 0.4523 0.2500 (multiplicity 18)

***

# 5
This record from Materials Project describes a geometry-optimized SrPrAl3O7 structure. The functional is PBE.

Output
**M_tot**: 0.00 μB per formula unit

a b c (Å): 11.2091 11.2192 5.2576
angles (deg): 90.00 90.00 90.00
Space group Cmm2 (No. 35)
One atom of each set of equivalent atoms:
Sr 0.0000 0.1615 0.0000 (multiplicity 4)
Pr 0.1628 0.5000 0.9782 (multiplicity 4)
Al 0.0000 0.3585 0.4502 (multiplicity 4)
Al 0.1442 0.0000 0.5286 (multiplicity 4)
Al 0.2500 0.2500 0.4909 (multiplicity 4)
O 0.0000 0.0000 0.6558 (multiplicity 2)
O 0.0000 0.3688 0.7827 (multiplicity 4)
O 0.0000 0.5000 0.2983 (multiplicity 2)
O 0.1263 0.2928 0.3016 (multiplicity 8)
O 0.1513 0.0000 0.1980 (multiplicity 4)
O 0.2153 0.1236 0.6836 (multiplicity 8)

***

# 6
This record from Materials Project describes a geometry-optimized SrPrAlO4 structure. The functional is PBE.

Output
**M_tot**: 0.00 μB per formula unit

a b c (Å): 3.7807 3.7807 12.5090
angles (deg): 90.00 90.00 90.00
Space group I4mm (No. 107)
One atom of each set of equivalent atoms:
Sr 0.0000 0.0000 0.0000 (multiplicity 2)
Pr 0.0000 0.0000 0.7160 (multiplicity 2)
Al 0.0000 0.0000 0.3610 (multiplicity 2)
O 0.0000 0.0000 0.1957 (multiplicity 2)
O 0.0000 0.0000 0.5211 (multiplicity 2)
O 0.0000 0.5000 0.3510 (multiplicity 4)

***

For reference, calculated formation energy by record: -193.231; -193.268; -192.767; -18.294; -42.621; -24.555 eV per formula unit.